1.
Crystalline Ta3Si at its relaxed geometry. Source: Materials Project, functional meta-GGA r2SCAN.

Cell: 10.174 10.174 5.196 Å, 90.00 90.00 90.00°
Fractional positions:
Ta: 0.036 0.563 0.236
Ta: 0.063 0.964 0.736
Ta: 0.104 0.231 0.024
Ta: 0.150 0.664 0.719
Ta: 0.164 0.850 0.219
Ta: 0.231 0.396 0.476
Ta: 0.269 0.104 0.476
Ta: 0.336 0.650 0.219
Ta: 0.350 0.836 0.719
Ta: 0.396 0.269 0.024
Ta: 0.437 0.536 0.736
Ta: 0.464 0.937 0.236
Ta: 0.536 0.063 0.764
Ta: 0.563 0.464 0.264
Ta: 0.604 0.731 0.976
Ta: 0.650 0.164 0.281
Ta: 0.664 0.350 0.781
Ta: 0.731 0.896 0.524
Ta: 0.769 0.604 0.524
Ta: 0.836 0.150 0.781
Ta: 0.850 0.336 0.281
Ta: 0.896 0.769 0.976
Ta: 0.937 0.036 0.264
Ta: 0.964 0.437 0.764
Si: 0.045 0.220 0.531
Si: 0.220 0.455 0.969
Si: 0.280 0.045 0.969
Si: 0.455 0.280 0.531
Si: 0.545 0.720 0.469
Si: 0.720 0.955 0.031
Si: 0.780 0.545 0.031
Si: 0.955 0.780 0.469

Calculated values
spin magnetization = 0.00 μB/atom
ρ = 14.101 g/cm³
DFT formation energy = -0.469 eV per atom
SG = P4_2/n, No. 86


2.
Crystalline UTe2PbO8 at its relaxed geometry. Source: Materials Project, functional meta-GGA r2SCAN.

Cell: 7.763 7.033 13.895 Å, 90.00 94.68 90.00°
Fractional positions:
U: 0.051 0.153 0.308
U: 0.051 0.347 0.808
U: 0.949 0.653 0.192
U: 0.949 0.847 0.692
Te: 0.189 0.663 0.423
Te: 0.189 0.837 0.923
Te: 0.353 0.186 0.545
Te: 0.353 0.314 0.045
Te: 0.647 0.686 0.955
Te: 0.647 0.814 0.455
Te: 0.811 0.163 0.077
Te: 0.811 0.337 0.577
Pb: 0.434 0.635 0.676
Pb: 0.434 0.865 0.176
Pb: 0.566 0.135 0.824
Pb: 0.566 0.365 0.324
O: 0.071 0.669 0.819
O: 0.071 0.831 0.319
O: 0.072 0.031 0.847
O: 0.072 0.469 0.347
O: 0.168 0.649 0.148
O: 0.168 0.851 0.648
O: 0.170 0.112 0.454
O: 0.170 0.388 0.954
O: 0.269 0.165 0.260
O: 0.269 0.335 0.760
O: 0.291 0.050 0.032
O: 0.291 0.450 0.532
O: 0.391 0.654 0.359
O: 0.391 0.846 0.859
O: 0.476 0.676 0.043
O: 0.476 0.824 0.543
O: 0.524 0.176 0.457
O: 0.524 0.324 0.957
O: 0.609 0.154 0.141
O: 0.609 0.346 0.641
O: 0.709 0.550 0.468
O: 0.709 0.950 0.968
O: 0.731 0.665 0.240
O: 0.731 0.835 0.740
O: 0.830 0.612 0.046
O: 0.830 0.888 0.546
O: 0.832 0.149 0.352
O: 0.832 0.351 0.852
O: 0.928 0.531 0.653
O: 0.928 0.969 0.153
O: 0.929 0.169 0.681
O: 0.929 0.331 0.181

Calculated values
spin magnetization = 0.00 μB/atom
ρ = 7.278 g/cm³
DFT formation energy = -1.944 eV per atom
SG = P2_1/c, No. 14


3.
Crystalline LiV3Te2O12 at its relaxed geometry. Source: Materials Project, functional meta-GGA r2SCAN.

Cell: 6.184 7.115 10.663 Å, 92.12 93.28 104.34°
Fractional positions:
Li: 0.209 0.239 0.391
Li: 0.791 0.761 0.609
V: 0.340 0.786 0.747
V: 0.383 0.806 0.082
V: 0.386 0.771 0.419
V: 0.614 0.229 0.581
V: 0.617 0.194 0.918
V: 0.660 0.214 0.253
Te: 0.136 0.181 0.712
Te: 0.164 0.221 0.093
Te: 0.836 0.779 0.907
Te: 0.864 0.819 0.288
O: 0.091 0.904 0.710
O: 0.148 0.875 0.383
O: 0.151 0.948 0.095
O: 0.179 0.570 0.744
O: 0.206 0.595 0.076
O: 0.272 0.542 0.407
O: 0.294 0.222 0.566
O: 0.358 0.269 0.961
O: 0.374 0.276 0.234
O: 0.378 0.881 0.907
O: 0.420 0.841 0.582
O: 0.483 0.843 0.246
O: 0.517 0.157 0.754
O: 0.580 0.159 0.418
O: 0.622 0.119 0.093
O: 0.626 0.724 0.766
O: 0.642 0.731 0.039
O: 0.706 0.778 0.434
O: 0.728 0.458 0.593
O: 0.794 0.405 0.924
O: 0.821 0.430 0.256
O: 0.849 0.052 0.905
O: 0.852 0.125 0.617
O: 0.909 0.096 0.290

Calculated values
spin magnetization = 0.00 μB/atom
ρ = 4.448 g/cm³
DFT formation energy = -2.021 eV per atom
SG = P-1, No. 2


4.
Crystalline ThPt at its relaxed geometry. Source: Materials Project, functional meta-GGA r2SCAN.

Cell: 5.984 5.984 4.449 Å, 90.00 90.00 141.71°
Fractional positions:
Th: 0.136 0.864 0.750
Th: 0.864 0.136 0.250
Pt: 0.404 0.596 0.750
Pt: 0.596 0.404 0.250

Calculated values
spin magnetization = 0.00 μB/atom
ρ = 14.367 g/cm³
DFT formation energy = -1.331 eV per atom
SG = Cmcm, No. 63


5.
Crystalline HoNiGe3 at its relaxed geometry. Source: Materials Project, functional meta-GGA r2SCAN.

Cell: 10.912 10.912 4.063 Å, 90.00 90.00 158.61°
Fractional positions:
Ho: 0.169 0.831 0.000
Ho: 0.831 0.169 0.000
Ni: 0.389 0.611 0.500
Ni: 0.611 0.389 0.500
Ge: 0.058 0.942 0.500
Ge: 0.284 0.716 0.500
Ge: 0.443 0.557 0.000
Ge: 0.557 0.443 0.000
Ge: 0.716 0.284 0.500
Ge: 0.942 0.058 0.500

Calculated values
spin magnetization = 0.00 μB/atom
ρ = 8.308 g/cm³
DFT formation energy = -0.597 eV per atom
SG = Cmmm, No. 65


6.
Crystalline LiBiF6 at its relaxed geometry. Source: Materials Project, functional meta-GGA r2SCAN.

Cell: 5.505 5.505 5.505 Å, 54.74 54.74 54.74°
Fractional positions:
Li: 0.000 0.000 0.000
Bi: 0.500 0.500 0.500
F: 0.103 0.753 0.392
F: 0.247 0.608 0.897
F: 0.392 0.103 0.753
F: 0.608 0.897 0.247
F: 0.753 0.392 0.103
F: 0.897 0.247 0.608

Calculated values
spin magnetization = 0.00 μB/atom
ρ = 5.291 g/cm³
DFT formation energy = -2.312 eV per atom
SG = R-3, No. 148


7.
Crystalline NbSe2 at its relaxed geometry. Source: Materials Project, functional meta-GGA r2SCAN.

Cell: 3.518 3.518 6.529 Å, 90.00 90.00 120.00°
Fractional positions:
Nb: 0.000 0.000 0.000
Se: 0.333 0.667 0.252
Se: 0.667 0.333 0.748

Calculated values
spin magnetization = 0.00 μB/atom
ρ = 5.951 g/cm³
DFT formation energy = -0.932 eV per atom
SG = P-3m1, No. 164


8.
Crystalline Ca3BiAu14 at its relaxed geometry. Source: Materials Project, functional meta-GGA r2SCAN.

Cell: 5.533 5.533 13.784 Å, 90.00 90.00 120.00°
Fractional positions:
Ca: 0.000 0.000 0.000
Ca: 0.333 0.667 0.648
Ca: 0.667 0.333 0.323
Bi: 0.333 0.667 0.901
Au: 0.000 0.000 0.245
Au: 0.000 0.000 0.611
Au: 0.166 0.332 0.446
Au: 0.166 0.834 0.446
Au: 0.333 0.667 0.282
Au: 0.334 0.167 0.776
Au: 0.500 0.001 0.119
Au: 0.500 0.500 0.119
Au: 0.667 0.333 0.569
Au: 0.667 0.333 0.950
Au: 0.668 0.834 0.446
Au: 0.833 0.167 0.776
Au: 0.833 0.666 0.776
Au: 0.999 0.500 0.119

Calculated values
spin magnetization = 0.00 μB/atom
ρ = 14.028 g/cm³
DFT formation energy = -0.443 eV per atom
SG = P3m1, No. 156


9.
Crystalline SmY3 at its relaxed geometry. Source: Materials Project, functional meta-GGA r2SCAN.

Cell: 5.110 5.110 5.110 Å, 90.00 90.00 90.00°
Fractional positions:
Sm: 0.000 0.000 0.000
Y: 0.000 0.500 0.500
Y: 0.500 0.000 0.500
Y: 0.500 0.500 0.000

Calculated values
spin magnetization = 0.00 μB/atom
ρ = 5.189 g/cm³
DFT formation energy = 0.073 eV per atom
SG = Pm-3m, No. 221


10.
Crystalline Pr3Ga10Ni at its relaxed geometry. Source: Materials Project, functional meta-GGA r2SCAN.

Cell: 4.257 4.278 15.212 Å, 90.00 90.00 90.00°
Fractional positions:
Pr: 0.000 0.000 0.000
Pr: 0.500 0.000 0.252
Pr: 0.500 0.000 0.748
Ga: 0.000 0.000 0.416
Ga: 0.000 0.000 0.584
Ga: 0.000 0.500 0.158
Ga: 0.000 0.500 0.318
Ga: 0.000 0.500 0.682
Ga: 0.000 0.500 0.842
Ga: 0.500 0.500 0.081
Ga: 0.500 0.500 0.416
Ga: 0.500 0.500 0.584
Ga: 0.500 0.500 0.919
Ni: 0.500 0.000 0.500

Calculated values
spin magnetization = 0.00 μB/atom
ρ = 7.065 g/cm³
DFT formation energy = -0.645 eV per atom
SG = Pmmm, No. 47


11.
Crystalline ErSeI at its relaxed geometry. Source: Materials Project, functional meta-GGA r2SCAN.

Cell: 4.181 5.576 9.578 Å, 90.00 90.00 90.00°
Fractional positions:
Er: 0.250 0.250 0.117
Er: 0.750 0.750 0.883
Se: 0.250 0.750 0.083
Se: 0.750 0.250 0.917
I: 0.250 0.750 0.657
I: 0.750 0.250 0.343

Calculated values
spin magnetization = 0.00 μB/atom
ρ = 5.550 g/cm³
DFT formation energy = -1.940 eV per atom
SG = Pmmn, No. 59


12.
Crystalline Li3Pr3Te2O12 at its relaxed geometry. Source: Materials Project, functional meta-GGA r2SCAN.

Cell: 10.949 10.949 10.949 Å, 109.47 109.47 109.47°
Fractional positions:
Li: 0.125 0.750 0.875
Li: 0.125 0.875 0.250
Li: 0.250 0.125 0.875
Li: 0.250 0.625 0.375
Li: 0.375 0.250 0.625
Li: 0.375 0.625 0.750
Li: 0.625 0.375 0.250
Li: 0.625 0.750 0.375
Li: 0.750 0.375 0.625
Li: 0.750 0.875 0.125
Li: 0.875 0.125 0.750
Li: 0.875 0.250 0.125
Pr: 0.125 0.250 0.375
Pr: 0.125 0.375 0.750
Pr: 0.250 0.375 0.125
Pr: 0.250 0.875 0.625
Pr: 0.375 0.125 0.250
Pr: 0.375 0.750 0.125
Pr: 0.625 0.250 0.875
Pr: 0.625 0.875 0.750
Pr: 0.750 0.125 0.375
Pr: 0.750 0.625 0.875
Pr: 0.875 0.625 0.250
Pr: 0.875 0.750 0.625
Te: 0.000 0.000 0.000
Te: 0.000 0.000 0.500
Te: 0.000 0.500 0.000
Te: 0.000 0.500 0.500
Te: 0.500 0.000 0.000
Te: 0.500 0.000 0.500
Te: 0.500 0.500 0.000
Te: 0.500 0.500 0.500
O: 0.021 0.191 0.114
O: 0.021 0.330 0.907
O: 0.077 0.691 0.670
O: 0.077 0.886 0.407
O: 0.093 0.614 0.423
O: 0.093 0.979 0.670
O: 0.114 0.021 0.191
O: 0.114 0.593 0.923
O: 0.170 0.191 0.577
O: 0.170 0.479 0.593
O: 0.191 0.114 0.021
O: 0.191 0.577 0.170
O: 0.309 0.330 0.923
O: 0.309 0.479 0.386
O: 0.330 0.907 0.021
O: 0.330 0.923 0.309
O: 0.386 0.309 0.479
O: 0.386 0.577 0.907
O: 0.407 0.077 0.886
O: 0.407 0.830 0.521
O: 0.423 0.093 0.614
O: 0.423 0.830 0.809
O: 0.479 0.386 0.309
O: 0.479 0.593 0.170
O: 0.521 0.407 0.830
O: 0.521 0.614 0.691
O: 0.577 0.170 0.191
O: 0.577 0.907 0.386
O: 0.593 0.170 0.479
O: 0.593 0.923 0.114
O: 0.614 0.423 0.093
O: 0.614 0.691 0.521
O: 0.670 0.077 0.691
O: 0.670 0.093 0.979
O: 0.691 0.521 0.614
O: 0.691 0.670 0.077
O: 0.809 0.423 0.830
O: 0.809 0.886 0.979
O: 0.830 0.521 0.407
O: 0.830 0.809 0.423
O: 0.886 0.407 0.077
O: 0.886 0.979 0.809
O: 0.907 0.021 0.330
O: 0.907 0.386 0.577
O: 0.923 0.114 0.593
O: 0.923 0.309 0.330
O: 0.979 0.670 0.093
O: 0.979 0.809 0.886

Calculated values
spin magnetization = 0.00 μB/atom
ρ = 5.855 g/cm³
DFT formation energy = -2.541 eV per atom
SG = Ia-3d, No. 230


13.
Crystalline V3Ag2TeS6 at its relaxed geometry. Source: Materials Project, functional meta-GGA r2SCAN.

Cell: 5.537 5.537 8.033 Å, 90.00 90.00 120.00°
Fractional positions:
V: 0.000 0.341 0.000
V: 0.341 0.000 0.000
V: 0.659 0.659 0.000
Ag: 0.333 0.667 0.500
Ag: 0.667 0.333 0.500
Te: 0.000 0.000 0.500
S: 0.000 0.000 0.172
S: 0.000 0.000 0.828
S: 0.333 0.667 0.183
S: 0.333 0.667 0.817
S: 0.667 0.333 0.183
S: 0.667 0.333 0.817

Calculated values
spin magnetization = 0.00 μB/atom
ρ = 5.361 g/cm³
DFT formation energy = -0.814 eV per atom
SG = P-62m, No. 189


14.
Crystalline K2V8O21 at its relaxed geometry. Source: Materials Project, functional meta-GGA r2SCAN.

Cell: 7.725 7.725 14.816 Å, 91.09 91.09 26.68°
Fractional positions:
K: 0.027 0.027 0.312
K: 0.973 0.973 0.688
V: 0.188 0.188 0.072
V: 0.311 0.311 0.271
V: 0.332 0.332 0.479
V: 0.410 0.410 0.076
V: 0.590 0.590 0.924
V: 0.668 0.668 0.521
V: 0.689 0.689 0.729
V: 0.812 0.812 0.928
O: 0.110 0.110 0.144
O: 0.117 0.117 0.950
O: 0.162 0.162 0.739
O: 0.209 0.209 0.528
O: 0.214 0.214 0.315
O: 0.287 0.287 0.141
O: 0.306 0.306 0.966
O: 0.388 0.388 0.377
O: 0.407 0.407 0.558
O: 0.456 0.456 0.176
O: 0.500 0.500 0.000
O: 0.544 0.544 0.824
O: 0.593 0.593 0.442
O: 0.612 0.612 0.623
O: 0.694 0.694 0.034
O: 0.713 0.713 0.859
O: 0.786 0.786 0.685
O: 0.791 0.791 0.472
O: 0.838 0.838 0.261
O: 0.883 0.883 0.050
O: 0.890 0.890 0.856

Calculated values
spin magnetization = 0.00 μB/atom
ρ = 3.437 g/cm³
DFT formation energy = -2.468 eV per atom
SG = C2/m, No. 12